Compound: RbNa3SnO4
Source: the Materials Project
Functional: r²SCAN
Structure: relaxed

Computed properties:
The total energy comes out at -9.86 eV per atom. Its space group is No. 88. The total magnetization is 0.000 μB per cell. For the volume, the calculation gives 16.94 A^3/atom.

Lattice parameters (Å, degrees): 11.7341 11.7341 11.7341 114.33 114.33 100.14
Closest atoms and distances in Å follow each position.
Atoms (fractional coordinates):
1 O 0.5092 0.7629 0.9242  1 Sn 1.97
2 Na 0.7973 0.4761 0.6378  3 O 2.21-2.33
3 O 0.1407 0.2358 0.2554  1 Sn 1.98, 1 Na 2.21
4 O 0.8387 0.5850 0.0758  1 Sn 1.97
5 O 0.2408 0.4871 0.5758  1 Sn 1.97
6 Rb 0.2293 0.1960 0.5068  6 O 2.96-3.17
7 Na 0.9419 0.8082 0.1403  4 O 2.25-2.50
8 O 0.3596 0.1689 0.1106  1 Sn 1.97
9 O 0.7642 0.0196 0.9049  1 Sn 1.98, 1 Na 2.21
10 Na 0.5516 0.1919 0.6337  4 O 2.25-2.50
11 O 0.2371 0.1613 0.7463  1 Sn 1.97
12 O 0.2516 0.4807 0.8794  1 Sn 1.97
13 O 0.6354 0.3907 0.4049  1 Sn 1.98, 1 Na 2.21
14 Rb 0.2775 0.7707 0.9667  6 O 2.96-3.17
15 Na 0.8405 0.2027 0.6788  3 O 2.21-2.33
16 O 0.1487 0.8778 0.3794  1 Sn 1.97
17 O 0.5193 0.3987 0.7709  1 Sn 1.97
18 Rb 0.8040 0.3108 0.0333  6 O 2.96-3.17
19 O 0.1222 0.5016 0.2709  1 Sn 1.97
20 Na 0.1918 0.3321 0.1337  4 O 2.25-2.50
21 Na 0.5239 0.1617 0.3212  3 O 2.21-2.33
22 Na 0.5582 0.9179 0.3663  4 O 2.25-2.50
23 Na 0.7215 0.5919 0.1917  4 O 2.28-2.35
24 Na 0.9527 0.7739 0.8622  3 O 2.21-2.33
25 O 0.3350 0.7592 0.2463  1 Sn 1.97
26 Na 0.9095 0.0473 0.8212  3 O 2.21-2.33
27 Na 0.3498 0.7202 0.6917  4 O 2.28-2.35
28 Na 0.6679 0.8016 0.8597  4 O 2.25-2.50
29 Sn 0.1075 0.3947 0.3611  4 O 1.97-1.98
30 O 0.6918 0.0011 0.6106  1 Sn 1.97
31 O 0.9989 0.6096 0.6907  1 Sn 1.97
32 O 0.1146 0.8593 0.0951  1 Sn 1.98, 1 Na 2.21
33 Na 0.0821 0.4484 0.6403  4 O 2.25-2.50
34 Rb 0.0608 0.5275 0.0068  6 O 2.96-3.17
35 Sn 0.4964 0.3575 0.2128  4 O 1.97-1.98
36 Sn 0.6425 0.8553 0.1389  4 O 1.97-1.98
37 Na 0.3419 0.6502 0.3703  4 O 2.28-2.35
38 Sn 0.7164 0.5036 0.8611  4 O 1.97-1.98
39 O 0.4984 0.7693 0.6206  1 Sn 1.97
40 O 0.5129 0.0887 0.7537  1 Sn 1.97
41 Rb 0.4725 0.4793 0.5333  6 O 2.96-3.17
42 O 0.9113 0.6650 0.4242  1 Sn 1.97
43 Na 0.9117 0.0905 0.1378  3 O 2.21-2.33
44 O 0.7511 0.6404 0.8093  1 Sn 1.97
45 O 0.6278 0.7484 0.2291  1 Sn 1.97
46 O 0.9189 0.3082 0.3093  1 Sn 1.97
47 O 0.7696 0.3646 0.7554  1 Sn 1.98, 1 Na 2.21
48 O 0.4150 0.4908 0.2537  1 Sn 1.97
49 Sn 0.0336 0.7464 0.6389  4 O 1.97-1.98
50 Na 0.4081 0.5998 0.1297  4 O 2.28-2.35
51 O 0.2307 0.8513 0.7291  1 Sn 1.97
52 Rb 0.9460 0.9392 0.4667  6 O 2.96-3.17
53 Sn 0.6053 0.9664 0.7128  4 O 1.97-1.98
54 O 0.9804 0.8854 0.7446  1 Sn 1.98, 1 Na 2.21
55 Na 0.8383 0.1595 0.3622  3 O 2.21-2.33
56 O 0.3904 0.0811 0.3894  1 Sn 1.97
57 Sn 0.2536 0.8925 0.2872  4 O 1.97-1.98
58 O 0.6013 0.3722 0.1206  1 Sn 1.97
59 O 0.8311 0.9418 0.1907  1 Sn 1.97
60 Na 0.4002 0.5298 0.8083  4 O 2.28-2.35
61 Rb 0.6892 0.7225 0.4932  6 O 2.96-3.17
62 O 0.0582 0.2489 0.8894  1 Sn 1.97
63 Na 0.4702 0.2785 0.8703  4 O 2.28-2.35
64 Na 0.0285 0.6581 0.3083  4 O 2.28-2.35
65 Na 0.2261 0.0883 0.1788  3 O 2.21-2.33
66 Rb 0.5207 0.0540 0.9932  6 O 2.96-3.17
67 O 0.9858 0.2304 0.5951  1 Sn 1.98, 1 Na 2.21
68 Na 0.2798 0.9715 0.6297  4 O 2.28-2.35
69 Na 0.1984 0.0581 0.8663  4 O 2.25-2.50
70 O 0.6093 0.0142 0.2446  1 Sn 1.98, 1 Na 2.21
71 Na 0.8081 0.4418 0.3597  4 O 2.25-2.50
72 Sn 0.1447 0.2836 0.7872  4 O 1.97-1.98

=====

Compound: Na2ReO3
Source: the Materials Project
Functional: r²SCAN
Structure: relaxed

Computed properties:
The total energy comes out at -14.74 eV per atom. Its space group is No. 193. The total magnetization is 0.000 μB per cell. For the volume, the calculation gives 13.43 A^3/atom.

Lattice parameters (Å, degrees): 5.5461 5.5461 12.1005 90.00 90.00 120.00
Closest atoms and distances in Å follow each position.
Atoms (fractional coordinates):
1 O 0.3222 0.0000 0.6235  1 Re 1.83
2 O 0.3221 0.3221 0.1235  1 Re 1.83
3 Na 0.6667 0.3333 0.2500  6 O 2.42
4 Na 0.3333 0.6667 0.2500  6 O 2.42
5 O 0.6778 0.6778 0.6235  1 Re 1.83
6 O 0.3221 0.3221 0.3765  1 Re 1.83
7 O 0.6778 0.6778 0.8765  1 Re 1.83
8 O 0.0000 0.6779 0.1235  1 Re 1.83
9 O 0.6779 0.0000 0.1235  1 Re 1.83
10 Na 0.3333 0.6667 0.5000  6 O 2.40
11 O 0.3222 0.0000 0.8765  1 Re 1.83
12 Na 0.3333 0.6667 0.7500  6 O 2.42
13 O 0.0000 0.3222 0.6235  1 Re 1.83
14 Re 0.0000 0.0000 0.1547  3 O 1.83
15 O 0.0000 0.3222 0.8765  1 Re 1.83
16 O 0.0000 0.6779 0.3765  1 Re 1.83
17 Re 0.0000 0.0000 0.3453  3 O 1.83
18 Na 0.6667 0.3333 0.5000  6 O 2.40
19 Re 0.0000 0.0000 0.8453  3 O 1.83
20 Na 0.6667 0.3333 0.0000  6 O 2.40
21 O 0.6779 0.0000 0.3765  1 Re 1.83
22 Re 0.0000 0.0000 0.6547  3 O 1.83
23 Na 0.6667 0.3333 0.7500  6 O 2.42
24 Na 0.3333 0.6667 0.0000  6 O 2.40

=====

- What is the total energy in the second record?
  -14.74 eV per atom